Model one:
DFT (PBE) results for crystalline Ba2Pr4MgCu2O10 at its relaxed geometry.

Values from the calculation:
The density comes out at 6.1 g cm⁻³.

POSCAR file:
```
Ba2Pr4MgCu2O10
1.0
-0.277 -5.324 -2.600
5.895 1.365 -3.423
4.952 -2.771 5.148
Ba Pr Mg Cu O
2 4 1 2 10
Cartesian
6.167 -0.900 1.185
5.836 1.336 -3.356
6.532 -2.418 -2.510
7.815 -4.106 0.810
3.658 -2.858 -1.304
3.952 -4.317 1.654
1.114 -2.462 -1.842
3.110 0.574 -1.507
2.362 -1.192 2.190
4.473 -0.880 -2.118
6.288 -3.326 2.587
1.910 -1.961 0.152
8.083 -1.865 -0.531
4.338 -3.494 -3.394
7.949 -4.443 -1.790
1.783 -4.404 -1.041
6.157 -5.853 1.353
10.116 -3.933 0.212
5.477 -3.469 -0.246
```

---

Model two:
DFT (PBE) results for crystalline Ba2Pr4MgCu2O10 at its relaxed geometry.

Values from the calculation:
The density comes out at 6.5 g cm⁻³.

POSCAR file:
```
Ba2Pr4MgCu2O10
1.0
-6.047 0.867 -0.647
-1.221 -5.453 4.106
0.069 4.448 5.320
Ba Pr Mg Cu O
2 4 1 2 10
Cartesian
-0.516 -0.041 4.764
0.009 3.988 5.258
-4.024 -2.633 4.920
-3.798 0.386 6.851
-3.406 -0.528 1.964
-3.189 2.483 3.971
-0.923 -2.999 4.610
-0.536 1.727 7.322
0.016 2.208 2.812
-2.286 -2.666 3.337
-1.886 2.083 5.852
-1.653 1.055 2.271
-2.512 -1.614 6.719
-5.335 -2.228 3.011
-5.533 -1.181 6.395
-4.674 1.488 1.948
-4.913 2.517 5.529
-2.961 4.821 4.969
-3.589 -0.004 4.377
```

---

Model three:
DFT (PBE) results for crystalline Ba2Pr4MgCu2O10 at its relaxed geometry.

Values from the calculation:
The density comes out at 5.8 g cm⁻³.

POSCAR file:
```
Ba2Pr4MgCu2O10
1.0
-2.334 -3.928 -3.879
5.835 -4.509 1.055
-4.538 -2.561 5.323
Ba Pr Mg Cu O
2 4 1 2 10
Cartesian
0.648 -3.535 3.189
0.000 0.000 0.000
2.172 -6.516 0.661
-0.362 -7.235 2.913
-0.675 -3.763 -0.414
-3.209 -4.482 1.839
1.751 -4.218 -1.412
2.918 -2.254 0.528
-2.269 -1.280 2.662
2.496 -4.294 0.433
-2.415 -4.823 3.923
-1.520 -2.501 1.156
1.662 -6.512 3.303
1.379 -6.175 -1.424
0.483 -8.497 1.343
-2.699 -4.486 -0.804
-3.533 -6.703 2.066
-1.167 -1.964 -1.940
-0.518 -5.499 1.250
```

---

Most stable one: model two, least stable one: model three.

---

Model one:
DFT (PBE) results for crystalline Ba2MgCuTeO6 at its relaxed geometry.

Values from the calculation:
The density comes out at 5.1 g cm⁻³.

POSCAR file:
```
Ba2MgCuTeO6
1.0
6.738 -0.530 -3.244
-2.689 5.552 -3.338
-0.470 -0.780 6.202
Ba Mg Cu Te O
2 1 1 1 6
Cartesian
3.588 0.816 0.017
-0.009 3.426 -0.397
-0.235 -0.390 3.101
0.000 0.000 0.000
2.024 2.511 -3.291
2.029 4.173 -4.514
-0.478 1.692 3.269
4.056 2.551 -3.649
1.549 0.069 4.134
1.171 0.188 1.431
2.408 4.054 -1.811
```

---

Model two:
DFT (PBE) results for crystalline Ba2MgCuTeO6 at its relaxed geometry.

Values from the calculation:
The density comes out at 5.2 g cm⁻³.

POSCAR file:
```
Ba2MgCuTeO6
1.0
5.085 -0.004 -2.759
-1.519 4.906 -2.784
0.430 0.551 6.847
Ba Mg Cu Te O
2 1 1 1 6
Cartesian
3.949 1.906 1.210
0.048 3.546 0.094
2.543 -0.002 -1.380
0.000 0.000 0.000
1.783 2.451 -2.771
3.089 4.292 2.649
0.538 4.289 4.038
3.459 1.164 -2.734
0.908 1.161 -1.345
1.362 1.848 2.508
2.635 3.605 -1.204
```

---

Most stable one: model one, least stable one: model two.

---

Model one:
DFT (PBE) results for crystalline BaYMgTiCuO5 at its relaxed geometry.

Values from the calculation:
The density comes out at 5.0 g cm⁻³.

POSCAR file:
```
BaYMgTiCuO5
1.0
3.941 0.000 -0.001
0.000 3.941 -0.001
-0.002 -0.002 9.449
Ba Y Mg Ti Cu O
1 1 1 1 1 5
Cartesian
3.940 3.940 0.453
0.000 0.000 3.881
3.939 3.939 6.649
1.969 1.969 6.960
1.970 1.970 2.643
3.939 1.968 5.919
1.968 3.939 5.919
-0.001 1.970 2.707
1.970 -0.001 2.707
1.968 1.968 8.806
```

---

Model two:
DFT (PBE) results for crystalline BaYMgTiCuO5 at its relaxed geometry.

Values from the calculation:
The density comes out at 4.7 g cm⁻³.

POSCAR file:
```
BaYMgTiCuO5
1.0
-3.094 -2.090 -0.922
-0.442 -1.086 3.944
-5.456 8.657 -1.309
Ba Y Mg Ti Cu O
1 1 1 1 1 5
Cartesian
-0.776 -0.177 3.005
-2.998 3.119 2.991
-6.239 6.174 -1.072
-5.231 3.925 0.641
-3.215 0.863 0.813
-6.566 2.542 0.232
-5.485 3.458 2.549
-4.817 -0.291 0.786
-3.965 2.492 -0.362
-6.324 5.449 0.852
```

---

Most stable one: model two, least stable one: model one.

---

Model one:
DFT (PBE) results for crystalline Ba2YMgCu4O8 at its relaxed geometry.

Values from the calculation:
The density comes out at 5.2 g cm⁻³.

POSCAR file:
```
Ba2YMgCu4O8
1.0
4.034 0.000 0.000
0.000 3.772 -0.523
0.000 0.404 16.027
Ba Y Mg Cu O
2 1 1 4 8
Cartesian
2.017 2.267 2.684
2.017 1.679 11.560
2.017 2.203 15.205
0.000 2.738 5.372
0.000 3.877 13.449
0.000 0.136 1.044
0.000 3.281 9.304
0.000 1.119 7.606
0.000 3.547 11.189
0.000 0.718 4.689
0.000 2.038 14.050
0.000 2.049 0.978
2.017 3.908 13.653
2.017 0.138 1.059
0.000 1.400 9.593
0.000 2.995 7.272
```

---

Model two:
DFT (PBE) results for crystalline Ba2YMgCu4O8 at its relaxed geometry.

Values from the calculation:
The density comes out at 5.7 g cm⁻³.

POSCAR file:
```
Ba2YMgCu4O8
1.0
3.733 0.000 0.000
0.000 4.003 -0.607
0.000 -0.040 15.003
Ba Y Mg Cu O
2 1 1 4 8
Cartesian
1.866 2.521 3.323
1.866 1.442 11.073
1.866 2.002 -0.303
1.866 -0.020 7.501
0.000 3.738 12.792
0.000 0.225 1.604
0.000 2.974 8.393
0.000 0.989 6.003
0.000 3.351 10.201
0.000 0.612 4.195
0.000 1.755 13.219
0.000 2.208 1.177
1.866 3.768 13.001
1.866 0.195 1.395
0.000 1.017 8.105
0.000 2.946 6.292
```

---

Most stable one: model two, least stable one: model one.

---

Model one:
DFT (PBE) results for crystalline Ba6Nd2YCu12O24 at its relaxed geometry.

Values from the calculation:
The density comes out at 6.1 g cm⁻³.

POSCAR file:
```
Ba6Nd2YCu12O24
1.0
-2.159 0.608 -3.214
-7.728 -8.038 3.671
-8.370 8.512 7.233
Ba Nd Y Cu O
6 2 1 12 24
Cartesian
-5.592 0.320 1.427
-8.170 -2.364 2.651
-10.735 -5.049 3.867
-7.522 6.131 3.823
-10.087 3.446 5.038
-12.665 0.762 6.262
-6.242 -5.064 0.846
-12.015 6.146 6.844
-1.080 0.304 -1.607
-4.295 2.848 3.424
-6.874 0.170 4.650
-9.451 -2.515 5.873
-6.647 2.989 5.031
-9.223 0.304 6.254
-11.802 -2.373 7.480
-2.173 -0.075 1.446
-4.773 -2.757 2.685
-7.354 -5.464 3.907
-8.744 5.938 6.997
-11.325 3.231 8.219
-13.924 0.549 9.458
-5.679 1.639 4.125
-8.254 -1.044 5.348
-10.831 -3.721 6.572
-5.267 4.195 4.332
-7.843 1.518 5.556
-10.419 -1.165 6.779
-3.090 0.065 -0.302
-5.728 -2.626 0.962
-8.322 -5.376 2.183
-9.935 6.459 5.506
-12.528 3.708 6.728
-15.167 1.017 7.992
-3.344 1.537 2.537
-5.927 -1.141 3.766
-8.502 -3.828 4.988
-7.595 4.302 5.916
-10.171 1.615 7.138
-12.753 -1.063 8.367
-3.351 -1.583 1.951
-5.940 -4.279 3.181
-8.466 -7.019 4.360
-7.631 7.493 6.544
-10.157 4.753 7.723
-12.747 2.057 8.952
```

---

Model two:
DFT (PBE) results for crystalline Ba6Nd2YCu12O24 at its relaxed geometry.

Values from the calculation:
The density comes out at 6.1 g cm⁻³.

POSCAR file:
```
Ba6Nd2YCu12O24
1.0
3.941 0.000 0.000
0.000 3.911 0.000
0.000 1.956 41.404
Ba Nd Y Cu O
6 2 1 12 24
Cartesian
1.971 1.956 3.765
1.971 3.911 17.576
1.971 1.956 31.374
1.971 3.911 10.030
1.971 1.956 23.828
1.971 3.911 37.639
1.971 3.911 13.800
1.971 1.956 27.604
1.971 1.956 0.000
0.000 3.911 1.726
0.000 1.956 15.565
0.000 3.911 29.366
0.000 1.956 12.039
0.000 3.911 25.839
0.000 1.956 39.678
0.000 3.911 5.867
0.000 1.956 19.670
0.000 3.911 33.472
0.000 1.956 7.932
0.000 3.911 21.734
0.000 1.956 35.537
0.000 3.911 4.016
0.000 1.956 17.826
0.000 3.911 31.628
0.000 1.956 9.776
0.000 3.911 23.578
0.000 1.956 37.389
0.000 1.956 6.030
0.000 3.911 19.838
0.000 1.956 33.638
0.000 3.911 7.766
0.000 1.956 21.566
0.000 3.911 35.374
1.971 3.911 1.457
1.971 1.956 15.338
1.971 3.911 29.140
1.971 1.956 12.264
1.971 3.911 26.066
1.971 1.956 39.948
0.000 1.956 1.431
0.000 3.911 15.316
0.000 1.956 29.117
0.000 3.911 12.287
0.000 1.956 26.088
0.000 3.911 39.973
```

---

Most stable one: model two, least stable one: model one.

---

Model one:
DFT (PBE) results for crystalline BaCuSe2O6 at its relaxed geometry.

Values from the calculation:
The density comes out at 4.6 g cm⁻³.

POSCAR file:
```
BaCuSe2O6
1.0
13.434 0.000 0.000
0.000 5.415 0.000
0.000 0.054 9.028
Ba Cu Se O
4 4 8 24
Cartesian
2.704 1.499 6.238
4.013 1.472 1.724
9.421 3.997 7.304
10.730 3.971 2.790
4.932 3.979 8.129
8.502 1.490 0.899
11.649 1.517 5.414
1.785 3.952 3.615
13.317 4.436 6.401
4.863 4.168 4.831
6.600 1.060 7.141
1.854 4.141 0.317
11.581 1.328 8.711
0.118 1.033 2.627
6.835 4.409 1.887
8.571 1.301 4.197
11.884 3.932 5.633
4.088 4.259 6.398
1.550 1.537 3.395
2.630 4.232 1.884
6.778 0.714 1.557
8.863 5.143 4.769
6.656 4.755 7.472
1.260 3.860 5.495
11.288 5.116 0.255
0.061 4.728 2.958
7.977 1.637 8.047
9.796 2.288 4.958
10.356 2.261 0.444
9.347 1.210 2.630
12.174 1.610 3.533
4.571 0.326 4.259
5.167 1.564 7.909
3.639 3.181 4.070
13.373 0.741 6.071
8.268 3.905 1.119
5.457 3.833 0.981
10.805 1.237 7.145
3.079 3.208 8.584
2.146 0.353 8.773
```

---

Model two:
DFT (PBE) results for crystalline BaCuSe2O6 at its relaxed geometry.

Values from the calculation:
The density comes out at 4.3 g cm⁻³.

POSCAR file:
```
BaCuSe2O6
1.0
2.628 4.185 0.000
-2.628 4.185 0.000
0.000 0.357 16.011
Ba Cu Se O
2 2 4 12
Cartesian
-2.439 4.453 12.009
2.439 4.274 4.003
0.000 0.000 0.000
0.000 0.179 8.006
-0.005 5.645 14.556
0.005 5.466 6.550
-0.005 3.261 9.461
0.005 3.082 1.456
1.525 4.800 14.437
1.525 4.105 9.580
-1.525 3.926 1.574
-1.525 4.622 6.431
-1.115 4.295 14.756
-1.115 4.610 9.261
1.115 4.431 1.255
1.115 4.117 6.751
0.233 5.825 4.900
0.233 2.723 3.105
-0.233 2.902 11.111
-0.233 6.003 12.906
```

---

Most stable one: model two, least stable one: model one.